Below is a relaxed YbFe4P12 crystal, with properties calculated at the meta-GGA r2SCAN level.

Structure (extended XYZ):
```
17
Lattice="6.306 -2.006 1.016 -0.490 6.554 1.275 -4.100 -3.378 4.074" Properties=species:S:1:pos:R:3 pbc="T T T"
P 4.100 2.145 2.244
P 0.091 -1.420 2.589
P 1.625 2.590 3.776
P 2.375 0.796 1.565
P 0.971 4.187 2.267
P 2.463 -0.626 4.141
P -2.383 -0.975 4.120
P 0.745 -3.016 4.098
P 3.824 -1.567 2.555
P -0.659 0.374 4.799
P -0.746 1.796 2.223
P -2.107 2.738 3.809
Fe -0.245 3.277 0.637
Fe 3.153 -1.003 0.508
Fe 0.858 0.585 3.182
Fe -2.050 -1.689 2.037
Yb 0.000 0.000 0.000
```

## Properties
* DFT formation energy: -0.504 eV/atom
* space-group type: Im-3, No. 204
* crystal system: cubic